Entry 1:
VASP calculation (GGA+U) on an optimized crystal structure of Li9Mn2Co5O16. Values from VASP.

The structure in Quantum ESPRESSO input format:
```
&SYSTEM
  ibrav = 0, nat = 32, ntyp = 4
/
ATOMIC_SPECIES
Li 6.94 Li.upf
Mn 54.94 Mn.upf
Co 58.93 Co.upf
O 16.00 O.upf
ATOMIC_POSITIONS crystal
Li 0.500 0.250 0.134
Li 0.500 0.250 0.619
Li 0.000 0.999 0.273
Li 0.000 0.001 0.727
Li 0.500 0.750 0.381
Li 0.500 0.750 0.866
Li 0.000 0.500 0.000
Li 0.000 0.500 0.500
Li 0.500 0.000 0.500
Mn 0.000 0.251 0.874
Mn 0.000 0.749 0.126
Co 0.000 0.232 0.392
Co 0.500 0.000 0.000
Co 0.000 0.768 0.608
Co 0.500 0.490 0.253
Co 0.500 0.510 0.747
O 0.500 0.360 0.931
O 0.500 0.372 0.427
O 0.000 0.128 0.042
O 0.000 0.134 0.555
O 0.500 0.857 0.185
O 0.500 0.865 0.686
O 0.000 0.613 0.812
O 0.000 0.622 0.294
O 0.500 0.135 0.314
O 0.500 0.143 0.815
O 0.000 0.866 0.445
O 0.000 0.872 0.958
O 0.500 0.628 0.573
O 0.500 0.640 0.069
O 0.000 0.387 0.188
O 0.000 0.378 0.706
CELL_PARAMETERS angstrom
2.908 0.000 0.000
0.000 9.804 0.000
0.000 1.727 10.208
```

Output
Size of the total moment   14.00 Bohr magnetons per cell
Formation energy from the elements   -1.79 eV/atom
VASP energy   -185.1 eV/f.u.
SG   P2/m (10)


Entry 2:
VASP calculation (GGA+U) on an optimized crystal structure of CsHoMo2O8. Values from VASP.

The structure in Quantum ESPRESSO input format:
```
&SYSTEM
  ibrav = 0, nat = 24, ntyp = 4
/
ATOMIC_SPECIES
Cs 132.91 Cs.upf
Ho 164.93 Ho.upf
Mo 95.94 Mo.upf
O 16.00 O.upf
ATOMIC_POSITIONS crystal
Cs 0.000 0.250 0.500
Cs 0.000 0.750 0.500
Ho 0.000 0.250 0.000
Ho 0.000 0.750 0.000
Mo 0.524 0.000 0.191
Mo 0.476 0.000 0.809
Mo 0.476 0.500 0.191
Mo 0.524 0.500 0.809
O 0.246 0.000 0.066
O 0.754 0.000 0.934
O 0.754 0.500 0.066
O 0.246 0.500 0.934
O 0.259 0.326 0.180
O 0.741 0.674 0.820
O 0.741 0.326 0.820
O 0.741 0.174 0.180
O 0.259 0.674 0.180
O 0.259 0.826 0.820
O 0.259 0.174 0.820
O 0.741 0.826 0.180
O 0.392 0.000 0.357
O 0.608 0.000 0.643
O 0.608 0.500 0.357
O 0.392 0.500 0.643
CELL_PARAMETERS angstrom
-3.016 -1.902 -3.601
3.685 -7.303 0.772
-6.514 -2.566 6.812
```

Output
Size of the total moment   0.00 Bohr magnetons per cell
Formation energy from the elements   -2.55 eV/atom
VASP energy   -85.4 eV/f.u.
SG   Pccm (49)


Entry 3:
VASP calculation (GGA+U) on an optimized crystal structure of LaCoPO. Values from VASP.

The structure in Quantum ESPRESSO input format:
```
&SYSTEM
  ibrav = 0, nat = 8, ntyp = 4
/
ATOMIC_SPECIES
La 138.91 La.upf
Co 58.93 Co.upf
P 30.97 P.upf
O 16.00 O.upf
ATOMIC_POSITIONS crystal
La 0.750 0.750 0.847
La 0.250 0.250 0.153
Co 0.250 0.750 0.500
Co 0.750 0.250 0.500
P 0.250 0.250 0.618
P 0.750 0.750 0.382
O 0.750 0.250 0.000
O 0.250 0.750 0.000
CELL_PARAMETERS angstrom
3.991 0.000 0.000
0.000 3.991 0.000
0.000 0.000 8.265
```

Output
Size of the total moment   1.41 Bohr magnetons per cell
Formation energy from the elements   -1.85 eV/atom
VASP energy   -27.5 eV/f.u.
SG   P4/nmm (129)


Entry 4:
VASP calculation (GGA+U) on an optimized crystal structure of LiCr2P3O13. Values from VASP.

The structure in Quantum ESPRESSO input format:
```
&SYSTEM
  ibrav = 0, nat = 38, ntyp = 4
/
ATOMIC_SPECIES
Li 6.94 Li.upf
Cr 52.00 Cr.upf
P 30.97 P.upf
O 16.00 O.upf
ATOMIC_POSITIONS crystal
Li 0.285 0.566 0.777
Li 0.715 0.434 0.223
Cr 0.221 0.204 0.088
Cr 0.246 0.195 0.592
Cr 0.754 0.805 0.408
Cr 0.779 0.796 0.912
P 0.115 0.469 0.306
P 0.254 0.803 0.336
P 0.263 0.932 0.890
P 0.737 0.068 0.110
P 0.746 0.197 0.664
P 0.885 0.531 0.694
O 0.133 0.387 0.190
O 0.124 0.472 0.659
O 0.061 0.781 0.436
O 0.220 0.113 0.780
O 0.258 0.344 0.417
O 0.089 0.799 0.901
O 0.236 0.655 0.252
O 0.247 0.355 0.952
O 0.273 0.988 0.018
O 0.235 0.002 0.253
O 0.525 0.202 0.132
O 0.315 0.986 0.578
O 0.528 0.269 0.597
O 0.472 0.731 0.403
O 0.685 0.014 0.422
O 0.475 0.798 0.868
O 0.765 0.998 0.747
O 0.727 0.012 0.982
O 0.753 0.645 0.048
O 0.764 0.345 0.748
O 0.911 0.201 0.099
O 0.742 0.656 0.583
O 0.780 0.887 0.220
O 0.939 0.219 0.564
O 0.876 0.528 0.341
O 0.867 0.613 0.810
CELL_PARAMETERS angstrom
6.195 0.000 0.000
1.211 7.310 0.000
0.799 2.708 10.373
```

Output
Size of the total moment   4.00 Bohr magnetons per cell
Formation energy from the elements   -2.27 eV/atom
VASP energy   -132.0 eV/f.u.
SG   P-1 (2)


Entry 5:
VASP calculation (GGA+U) on an optimized crystal structure of Li8Mn5Fe3B8O24. Values from VASP.

The structure in Quantum ESPRESSO input format:
```
&SYSTEM
  ibrav = 0, nat = 48, ntyp = 5
/
ATOMIC_SPECIES
Li 6.94 Li.upf
Mn 54.94 Mn.upf
Fe 55.84 Fe.upf
B 10.81 B.upf
O 16.00 O.upf
ATOMIC_POSITIONS crystal
Li 0.847 0.064 0.388
Li 0.153 0.436 0.111
Li 0.654 0.183 0.863
Li 0.347 0.316 0.638
Li 0.652 0.687 0.358
Li 0.345 0.814 0.141
Li 0.847 0.562 0.892
Li 0.153 0.938 0.609
Mn 0.170 0.025 0.789
Mn 0.169 0.522 0.291
Mn 0.829 0.475 0.711
Mn 0.669 0.775 0.539
Mn 0.331 0.724 0.960
Fe 0.666 0.274 0.041
Fe 0.329 0.226 0.461
Fe 0.832 0.977 0.207
B 0.329 0.037 0.297
B 0.829 0.287 0.545
B 0.671 0.463 0.202
B 0.173 0.212 0.955
B 0.829 0.786 0.049
B 0.329 0.533 0.798
B 0.172 0.715 0.452
B 0.671 0.967 0.702
O 0.588 0.011 0.308
O 0.185 0.169 0.346
O 0.709 0.173 0.488
O 0.296 0.325 0.012
O 0.786 0.082 0.760
O 0.820 0.330 0.154
O 0.317 0.080 0.906
O 0.089 0.263 0.557
O 0.412 0.489 0.189
O 0.913 0.237 0.944
O 0.683 0.419 0.594
O 0.214 0.418 0.740
O 0.789 0.575 0.260
O 0.322 0.580 0.406
O 0.088 0.762 0.062
O 0.588 0.509 0.813
O 0.913 0.739 0.438
O 0.681 0.919 0.097
O 0.178 0.668 0.844
O 0.203 0.927 0.239
O 0.712 0.675 0.990
O 0.288 0.829 0.510
O 0.821 0.832 0.656
O 0.412 0.990 0.687
CELL_PARAMETERS angstrom
-1.107 -5.111 -0.240
5.556 -1.376 1.917
-3.154 -0.374 15.917
```

Output
Size of the total moment   37.00 Bohr magnetons per cell
Formation energy from the elements   -2.44 eV/atom
VASP energy   -344.1 eV/f.u.
SG   P1 (1)


Entry 6:
VASP calculation (GGA+U) on an optimized crystal structure of LiCrP5O15. Values from VASP.

The structure in Quantum ESPRESSO input format:
```
&SYSTEM
  ibrav = 0, nat = 88, ntyp = 4
/
ATOMIC_SPECIES
Li 6.94 Li.upf
Cr 52.00 Cr.upf
P 30.97 P.upf
O 16.00 O.upf
ATOMIC_POSITIONS crystal
Li 0.390 0.911 0.777
Li 0.610 0.089 0.223
Li 0.890 0.089 0.723
Li 0.110 0.911 0.277
Cr 0.000 0.500 0.000
Cr 0.500 0.500 0.500
Cr 0.000 0.500 0.500
Cr 0.500 0.500 0.000
P 0.859 0.520 0.250
P 0.251 0.996 0.522
P 0.141 0.478 0.253
P 0.749 0.004 0.478
P 0.141 0.480 0.750
P 0.359 0.480 0.250
P 0.082 0.185 0.426
P 0.249 0.996 0.022
P 0.582 0.815 0.074
P 0.574 0.807 0.587
P 0.926 0.807 0.087
P 0.359 0.478 0.753
P 0.426 0.193 0.413
P 0.641 0.520 0.750
P 0.918 0.815 0.574
P 0.074 0.193 0.913
P 0.859 0.522 0.747
P 0.641 0.522 0.247
P 0.751 0.004 0.978
P 0.418 0.185 0.926
O 0.750 0.466 0.727
O 0.378 0.502 0.605
O 0.021 0.291 0.999
O 0.125 0.503 0.603
O 0.484 0.281 0.996
O 0.878 0.498 0.895
O 0.764 0.112 0.849
O 0.984 0.719 0.504
O 0.074 0.560 0.831
O 0.354 0.302 0.814
O 0.167 0.121 0.533
O 0.521 0.709 0.501
O 0.008 0.101 0.845
O 0.622 0.498 0.395
O 0.426 0.560 0.331
O 0.644 0.698 0.691
O 0.926 0.440 0.169
O 0.348 0.103 0.511
O 0.856 0.698 0.191
O 0.750 0.466 0.227
O 0.959 0.934 0.639
O 0.575 0.435 0.170
O 0.122 0.502 0.105
O 0.925 0.435 0.670
O 0.765 0.074 0.598
O 0.848 0.897 0.989
O 0.979 0.709 0.001
O 0.425 0.565 0.830
O 0.646 0.698 0.186
O 0.235 0.926 0.402
O 0.356 0.302 0.309
O 0.459 0.066 0.861
O 0.041 0.066 0.361
O 0.016 0.281 0.496
O 0.652 0.897 0.489
O 0.264 0.888 0.651
O 0.875 0.497 0.397
O 0.833 0.879 0.467
O 0.508 0.899 0.655
O 0.541 0.934 0.139
O 0.625 0.497 0.897
O 0.250 0.534 0.273
O 0.075 0.565 0.330
O 0.333 0.121 0.033
O 0.492 0.101 0.345
O 0.250 0.534 0.773
O 0.516 0.719 0.004
O 0.736 0.112 0.349
O 0.265 0.926 0.902
O 0.667 0.879 0.967
O 0.152 0.103 0.011
O 0.479 0.291 0.499
O 0.735 0.074 0.098
O 0.854 0.698 0.686
O 0.236 0.888 0.151
O 0.144 0.302 0.809
O 0.146 0.302 0.314
O 0.375 0.503 0.103
O 0.574 0.440 0.669
O 0.992 0.899 0.155
CELL_PARAMETERS angstrom
-1.728 11.010 7.812
-8.909 -0.649 -1.056
-2.452 -6.021 7.944
```

Output
Size of the total moment   12.00 Bohr magnetons per cell
Formation energy from the elements   -2.50 eV/atom
VASP energy   -155.6 eV/f.u.
SG   P2_1/c (14)


Entry 7:
VASP calculation (GGA+U) on an optimized crystal structure of RbFeF4. Values from VASP.

The structure in Quantum ESPRESSO input format:
```
&SYSTEM
  ibrav = 0, nat = 24, ntyp = 3
/
ATOMIC_SPECIES
Rb 85.47 Rb.upf
Fe 55.84 Fe.upf
F 19.00 F.upf
ATOMIC_POSITIONS crystal
Rb 0.451 0.500 0.000
Rb 0.507 0.000 0.000
Rb 0.493 0.500 0.500
Rb 0.549 0.000 0.500
Fe 0.003 0.739 0.745
Fe 0.003 0.261 0.255
Fe 0.997 0.761 0.245
Fe 0.997 0.239 0.755
F 0.078 0.512 0.261
F 0.070 0.750 0.995
F 0.922 0.012 0.239
F 0.717 0.682 0.783
F 0.070 0.250 0.005
F 0.293 0.778 0.702
F 0.717 0.318 0.217
F 0.930 0.750 0.495
F 0.707 0.278 0.798
F 0.922 0.988 0.761
F 0.293 0.222 0.298
F 0.078 0.488 0.739
F 0.283 0.182 0.717
F 0.930 0.250 0.505
F 0.707 0.722 0.202
F 0.283 0.818 0.283
CELL_PARAMETERS angstrom
6.332 0.000 0.000
0.000 7.820 0.000
0.000 0.000 7.839
```

Output
Size of the total moment   20.00 Bohr magnetons per cell
Formation energy from the elements   -2.82 eV/atom
VASP energy   -29.9 eV/f.u.
SG   P2_12_12 (18)


Entry 8:
VASP calculation (GGA+U) on an optimized crystal structure of MoCl4O. Values from VASP.

The structure in Quantum ESPRESSO input format:
```
&SYSTEM
  ibrav = 0, nat = 12, ntyp = 3
/
ATOMIC_SPECIES
Mo 95.94 Mo.upf
Cl 35.45 Cl.upf
O 16.00 O.upf
ATOMIC_POSITIONS crystal
Mo 0.070 0.218 0.273
Mo 0.930 0.782 0.727
Cl 0.175 0.091 0.847
Cl 0.323 0.074 0.306
Cl 0.156 0.680 0.883
Cl 0.844 0.320 0.117
Cl 0.345 0.485 0.265
Cl 0.825 0.909 0.153
Cl 0.677 0.926 0.694
Cl 0.655 0.515 0.735
O 0.989 0.728 0.517
O 0.011 0.272 0.483
CELL_PARAMETERS angstrom
6.642 0.000 0.000
-2.391 7.294 0.000
-0.445 -2.059 7.499
```

Output
Size of the total moment   0.00 Bohr magnetons per cell
Formation energy from the elements   -0.87 eV/atom
VASP energy   -24.5 eV/f.u.
SG   P-1 (2)


Entry 9:
VASP calculation (GGA+U) on an optimized crystal structure of VP3O9. Values from VASP.

The structure in Quantum ESPRESSO input format:
```
&SYSTEM
  ibrav = 0, nat = 26, ntyp = 3
/
ATOMIC_SPECIES
V 50.94 V.upf
P 30.97 P.upf
O 16.00 O.upf
ATOMIC_POSITIONS crystal
V 0.494 0.012 0.395
V 0.012 0.494 0.895
P 0.290 0.493 0.070
P 0.493 0.290 0.570
P 0.054 0.941 0.158
P 0.941 0.054 0.658
P 0.527 0.699 0.220
P 0.699 0.527 0.720
O 0.413 0.332 0.206
O 0.332 0.413 0.706
O 0.467 0.567 0.885
O 0.567 0.467 0.385
O 0.747 0.104 0.599
O 0.104 0.747 0.099
O 0.675 0.621 0.061
O 0.621 0.675 0.561
O 0.811 0.250 0.749
O 0.250 0.811 0.249
O 0.078 0.146 0.998
O 0.146 0.078 0.498
O 0.821 0.988 0.301
O 0.988 0.821 0.801
O 0.565 0.866 0.230
O 0.866 0.565 0.730
O 0.409 0.160 0.561
O 0.160 0.409 0.061
CELL_PARAMETERS angstrom
3.279 6.726 0.000
-3.279 6.726 0.000
0.000 5.772 7.700
```

Output
Largest piezoelectric modulus   0.13 C/m²
Formation energy from the elements   -2.65 eV/atom
VASP energy   -96.4 eV/f.u.
SG   Cc (9)


Entry 10:
VASP calculation (GGA+U) on an optimized crystal structure of Li4TiMnW2O12. Values from VASP.

The structure in Quantum ESPRESSO input format:
```
&SYSTEM
  ibrav = 0, nat = 40, ntyp = 5
/
ATOMIC_SPECIES
Li 6.94 Li.upf
Ti 47.87 Ti.upf
Mn 54.94 Mn.upf
W 183.84 W.upf
O 16.00 O.upf
ATOMIC_POSITIONS crystal
Li 0.001 0.430 0.141
Li 0.001 0.930 0.641
Li 0.499 0.933 0.147
Li 0.499 0.433 0.647
Li 0.000 0.174 0.393
Li 0.000 0.674 0.893
Li 0.500 0.679 0.391
Li 0.500 0.179 0.891
Ti 0.003 0.014 0.005
Ti 0.003 0.514 0.505
Mn 0.499 0.501 0.000
Mn 0.499 0.001 0.500
W 0.001 0.752 0.247
W 0.001 0.252 0.747
W 0.499 0.756 0.756
W 0.499 0.256 0.256
O 0.300 0.611 0.180
O 0.300 0.111 0.680
O 0.120 0.862 0.117
O 0.120 0.362 0.617
O 0.320 0.113 0.064
O 0.320 0.613 0.564
O 0.199 0.863 0.431
O 0.199 0.363 0.931
O 0.805 0.117 0.184
O 0.805 0.617 0.684
O 0.382 0.112 0.366
O 0.382 0.612 0.866
O 0.617 0.365 0.119
O 0.617 0.865 0.619
O 0.185 0.361 0.310
O 0.185 0.861 0.810
O 0.808 0.616 0.065
O 0.808 0.116 0.565
O 0.692 0.365 0.433
O 0.692 0.865 0.933
O 0.883 0.616 0.368
O 0.883 0.116 0.868
O 0.689 0.867 0.317
O 0.689 0.367 0.817
CELL_PARAMETERS angstrom
0.000 2.899 -4.209
5.960 6.082 4.183
4.819 -6.118 -4.208
```

Output
Size of the total moment   6.00 Bohr magnetons per cell
Largest piezoelectric modulus   3.64 C/m²
Formation energy from the elements   -2.42 eV/atom
VASP energy   -139.5 eV/f.u.


Q: Among the records above, which one has the lowest VASP energy?
A: Li8Mn5Fe3B8O24


Please write out number 7 again, unchanged.
VASP calculation (GGA+U) on an optimized crystal structure of RbFeF4. Values from VASP.

The structure in Quantum ESPRESSO input format:
```
&SYSTEM
  ibrav = 0, nat = 24, ntyp = 3
/
ATOMIC_SPECIES
Rb 85.47 Rb.upf
Fe 55.84 Fe.upf
F 19.00 F.upf
ATOMIC_POSITIONS crystal
Rb 0.451 0.500 0.000
Rb 0.507 0.000 0.000
Rb 0.493 0.500 0.500
Rb 0.549 0.000 0.500
Fe 0.003 0.739 0.745
Fe 0.003 0.261 0.255
Fe 0.997 0.761 0.245
Fe 0.997 0.239 0.755
F 0.078 0.512 0.261
F 0.070 0.750 0.995
F 0.922 0.012 0.239
F 0.717 0.682 0.783
F 0.070 0.250 0.005
F 0.293 0.778 0.702
F 0.717 0.318 0.217
F 0.930 0.750 0.495
F 0.707 0.278 0.798
F 0.922 0.988 0.761
F 0.293 0.222 0.298
F 0.078 0.488 0.739
F 0.283 0.182 0.717
F 0.930 0.250 0.505
F 0.707 0.722 0.202
F 0.283 0.818 0.283
CELL_PARAMETERS angstrom
6.332 0.000 0.000
0.000 7.820 0.000
0.000 0.000 7.839
```

Output
Size of the total moment   20.00 Bohr magnetons per cell
Formation energy from the elements   -2.82 eV/atom
VASP energy   -29.9 eV/f.u.
SG   P2_12_12 (18)


Q: Look up the VASP energy of the tenth one.
A: -139.5 eV/f.u.


Q: Which formula does entry 9 have?
A: VP3O9